176
Lattice="13.8140 0.0000 0.0000 0.0000 13.8140 0.0000 0.0000 0.0000 13.8140" Properties=species:S:1:pos:R:3 comment="K5NaFe2C12O24 PBE with a Hubbard U relaxed" formation_enthalpy_0k_ev_per_atom=-1.7840 space_group=P4_132 corrected_energy_ry_per_atom=-0.5543 crystal_system=cubic volume_a3_per_cell=2636 pbc="T T T"
O 7.4865 5.9084 4.7543
C 7.6027 0.2814 9.7289
O 4.0432 8.6621 4.1096
C 13.1824 3.1721 4.1492
K 3.3298 6.7833 1.7267
C 6.2113 7.1884 10.9920
O 12.5132 2.4549 10.9400
C 8.4792 5.3921 4.2261
K 5.7994 1.1076 12.7064
O 9.7570 6.0816 7.1142
C 10.9920 6.2113 7.1884
O 9.0597 0.5795 0.9986
C 7.6796 11.8753 5.0257
O 0.6561 12.1156 13.2243
O 7.4967 13.1579 5.2086
K 8.6337 3.5772 7.0307
O 9.7708 1.7551 2.7974
C 0.2814 9.7289 7.6027
O 13.6068 4.0570 12.9885
C 11.8753 5.0257 7.6796
O 7.9056 11.6613 13.2345
K 3.5772 7.0307 8.6337
O 0.2072 10.9640 7.7324
Fe 6.7606 13.6675 7.0534
C 5.3921 4.2261 8.4792
O 9.0644 6.5328 13.7992
O 13.4398 6.9217 4.7496
O 11.0166 2.8638 5.1519
K 10.4842 13.6903 5.1802
O 6.8923 11.6566 7.2811
O 12.0589 9.7044 10.9502
C 8.4219 11.1331 12.2418
K 1.1076 12.7064 5.7994
O 0.5795 0.9986 9.0597
O 7.5105 3.6607 9.5351
Na 12.0872 1.7267 8.6337
Fe 10.5069 3.5999 3.3071
O 4.7496 13.4398 6.9217
O 6.0816 7.1142 9.7570
O 0.6035 3.2463 4.2789
C 12.2418 8.4219 11.1331
C 12.2991 2.6809 5.3348
O 3.8276 1.2961 10.3752
K 4.5611 11.4681 9.2529
O 10.9502 12.0589 9.7044
O 4.2789 0.6035 3.2463
C 10.0791 2.7578 0.6315
O 7.1142 9.7570 6.0816
O 2.1527 6.3275 12.8154
O 9.3619 9.7810 1.3008
O 0.5897 7.5631 8.6054
C 10.6419 11.0562 7.5385
O 11.3591 4.0330 8.2078
C 13.0414 1.9386 11.9327
C 7.5385 10.6419 11.0562
O 10.9640 7.7324 0.2072
C 6.1344 4.9684 1.8813
C 5.0257 7.6796 11.8753
O 2.6281 13.2105 10.1533
O 13.7992 9.0644 6.5328
C 8.7883 0.7726 8.8456
K 6.7833 1.7267 3.3298
C 6.2754 3.7349 9.6648
O 4.0570 12.9885 13.6068
O 4.4521 2.8740 5.6062
C 0.6957 6.6256 4.0850
O 7.5631 8.6054 0.5897
C 11.1331 12.2418 8.4219
O 5.6109 3.4388 10.7346
O 7.2811 6.8923 11.6566
C 0.6315 10.0791 2.7578
C 4.1492 13.1824 3.1721
O 4.0330 8.2078 11.3591
K 10.2368 0.1237 12.0872
O 12.9885 13.6068 4.0570
O 4.1096 4.0432 8.6621
K 8.0146 8.0146 8.0146
O 13.2243 0.6561 12.1156
O 2.7974 9.7708 1.7551
O 10.9400 12.5132 2.4549
O 1.6984 6.3173 6.2509
K 12.0872 10.2368 0.1237
C 11.9327 13.0414 1.9386
O 3.4682 3.0793 12.5179
Na 5.1802 5.1802 5.1802
O 10.7346 5.6109 3.4388
O 0.8254 6.6998 2.8500
O 9.9863 8.2031 10.3458
K 5.1802 10.4842 13.6903
Fe 10.2140 10.2140 10.2140
Fe 0.1464 0.1464 0.1464
O 0.3742 0.0147 2.1574
O 1.7551 2.7974 9.7708
O 9.7044 10.9502 12.0589
Fe 7.0534 6.7606 13.6675
O 3.0793 12.5179 3.4682
Fe 3.5999 3.3071 10.5069
O 6.9217 4.7496 13.4398
O 10.5677 11.1859 6.3035
O 10.3458 9.9863 8.2031
O 8.2031 10.3458 9.9863
C 3.1721 4.1492 13.1824
O 2.4549 10.9400 12.5132
K 7.0307 8.6337 3.5772
C 8.8456 8.7883 0.7726
C 1.8813 6.1344 4.9684
O 5.6062 4.4521 2.8740
O 1.3008 9.3619 9.7810
C 4.2261 8.4792 5.3921
C 11.0562 7.5385 10.6419
K 0.1237 12.0872 10.2368
C 13.5326 2.8219 13.1183
O 4.7543 7.4865 5.9084
O 12.8154 2.1527 6.3275
O 6.3173 6.2509 1.6984
C 9.7289 7.6027 0.2814
C 3.7349 9.6648 6.2754
O 3.6607 9.5351 7.5105
O 10.3752 3.8276 1.2961
O 5.2086 7.4967 13.1579
O 2.1574 0.3742 0.0147
C 6.6256 4.0850 0.6957
O 6.3035 10.5677 11.1859
O 6.3275 12.8154 2.1527
C 7.1884 10.9920 6.2113
O 0.9986 9.0597 0.5795
C 1.5149 9.5879 1.5722
O 9.7810 1.3008 9.3619
O 8.2078 11.3591 4.0330
C 2.6809 5.3348 12.2991
O 13.1579 5.2086 7.4967
O 6.5328 13.7992 9.0644
O 8.6054 0.5897 7.5631
Fe 13.6675 7.0534 6.7606
O 11.1859 6.3035 10.5677
O 6.2509 1.6984 6.3173
O 2.8740 5.6062 4.4521
C 13.1183 13.5326 2.8219
C 4.0850 0.6957 6.6256
O 0.0147 2.1574 0.3742
K 9.2529 4.5611 11.4681
C 9.6648 6.2754 3.7349
O 13.2345 7.9056 11.6613
O 5.1519 11.0166 2.8638
O 9.5351 7.5105 3.6607
K 13.6903 5.1802 10.4842
O 6.6998 2.8500 0.8254
O 2.8500 0.8254 6.6998
O 10.1533 2.6281 13.2105
C 2.8219 13.1183 13.5326
C 5.3348 12.2991 2.6809
Na 8.6337 12.0872 1.7267
C 4.9684 1.8813 6.1344
C 0.7726 8.8456 8.7883
O 11.6566 7.2811 6.8923
O 12.5179 3.4682 3.0793
K 12.7064 5.7994 1.1076
C 2.7578 0.6315 10.0791
O 1.2961 10.3752 3.8276
O 3.4388 10.7346 5.6109
O 2.8638 5.1519 11.0166
O 13.2105 10.1533 2.6281
O 5.9084 4.7543 7.4865
Fe 3.3071 10.5069 3.5999
K 11.4681 9.2529 4.5611
O 12.1156 13.2243 0.6561
K 2.3459 2.3459 2.3459
C 1.5722 1.5149 9.5879
C 9.5879 1.5722 1.5149
O 8.6621 4.1096 4.0432
K 1.7267 3.3298 6.7833
O 3.2463 4.2789 0.6035
C 1.9386 11.9327 13.0414
O 11.6613 13.2345 7.9056
O 7.7324 0.2072 10.9640
Na 1.7267 8.6337 12.0872


32
Lattice="5.0298 0.0000 0.0000 -0.0187 5.8378 0.0000 -1.6379 -0.0317 9.6502" Properties=species:S:1:pos:R:3 comment="Li9Co7O16 PBE with a Hubbard U relaxed" formation_enthalpy_0k_ev_per_atom=-1.6999 space_group=P-1 corrected_energy_ry_per_atom=-0.4605 crystal_system=triclinic volume_a3_per_cell=283 e_above_lowest_polymorph_mev_per_atom=55.4 pbc="T T T"
O 1.7195 4.2185 8.5978
O -0.0070 1.5599 3.7460
Li 2.5149 0.0000 0.0000
Co 3.3695 4.3791 9.6448
Li 0.8744 5.8224 2.3671
O 1.7327 1.5560 8.6095
Co 1.6689 4.3718 4.8086
O -0.0119 4.4808 3.6666
O 3.3802 4.2462 5.9042
Li 0.0090 1.4177 7.2942
O -0.9539 5.7696 8.5149
O -0.7316 2.8544 8.5857
O 1.6405 4.2501 1.0407
Co -0.8283 2.9031 4.8251
O 4.3270 0.0366 1.1354
O 2.4815 5.7721 3.6844
Co 1.7043 1.4343 4.8417
Li 0.8481 2.9260 2.3916
Li 2.4988 -0.0162 7.2831
Li 0.0146 4.3864 7.2858
Li 3.3642 4.3884 2.3560
O 0.8068 2.9643 5.8881
Co -0.8189 -0.0158 4.8251
O 2.5664 2.8419 3.7621
Co 2.5055 2.9189 0.0000
O 3.3850 1.3253 5.9836
Li 3.3585 1.4198 2.3644
Co 0.0036 1.4271 0.0055
Li 2.5251 2.8801 7.2586
O 0.8916 0.0340 5.9658
O 4.1048 2.9517 1.0646
O 1.6537 1.5876 1.0524


24
Lattice="4.8120 0.0003 0.0000 -0.0004 6.8104 0.0106 -0.0002 0.0145 8.6715" Properties=species:S:1:pos:R:3 comment="CoSO4 PBE with a Hubbard U relaxed" formation_enthalpy_0k_ev_per_atom=-1.7414 space_group=P2_1/c corrected_energy_ry_per_atom=-0.5082 crystal_system=monoclinic volume_a3_per_cell=284 pbc="T T T"
O 0.1917 1.7113 7.3961
Co -0.0002 3.4052 0.0053
O 4.0160 3.8758 3.2539
O 4.0186 6.3516 3.2581
O 1.6130 0.4666 1.0883
O 2.2139 1.7042 3.0604
Co 0.0000 0.0000 0.0000
O 1.2858 5.1125 3.2861
S 0.1302 1.7116 5.8800
O 3.5255 1.7127 5.3961
O 4.6196 5.1139 1.2861
O 0.7953 2.9494 5.4283
O 1.6101 2.9424 1.0928
O 2.5974 5.1210 5.6218
Co 2.4057 3.4126 4.3411
O 3.1983 6.3586 7.5939
O 1.1193 5.1196 7.6218
Co 2.4059 0.0074 4.3358
O 0.7928 0.4736 5.4241
S 4.6812 5.1136 2.8022
S 2.5359 5.1206 7.1379
O 3.2013 3.8828 7.5894
O 3.6921 1.7056 1.0604
S 2.2754 1.7046 1.5443


10
Lattice="0.0000 4.1768 4.1768 4.1768 0.0000 4.1768 4.1768 4.1768 0.0000" Properties=species:S:1:pos:R:3 comment="Sr2CaMoO6 PBE with a Hubbard U relaxed" formation_enthalpy_0k_ev_per_atom=-2.8473 space_group=Fm-3m corrected_energy_ry_per_atom=-0.5468 crystal_system=cubic volume_a3_per_cell=146 pbc="T T T"
Sr 2.0884 2.0884 2.0884
Mo 0.0000 0.0000 0.0000
O 4.1768 6.4155 4.1768
O 6.4155 4.1768 4.1768
O 1.9381 4.1768 4.1768
O 4.1768 4.1768 6.4155
Ca 4.1768 4.1768 4.1768
O 4.1768 4.1768 1.9381
O 4.1768 1.9381 4.1768
Sr 6.2652 6.2652 6.2652


8
Lattice="6.5266 -0.2028 -2.4883 -0.4287 3.4339 -1.4045 0.7863 0.8890 6.9057" Properties=species:S:1:pos:R:3 comment="VCl2O PBE with a Hubbard U relaxed" formation_enthalpy_0k_ev_per_atom=-1.5643 space_group=C2/c corrected_energy_ry_per_atom=-0.4407 crystal_system=monoclinic volume_a3_per_cell=170 pbc="T T T"
Cl 1.4318 3.6230 3.4628
V 0.3824 4.1246 5.5818
V 3.2386 0.0969 -1.3248
O 7.1029 2.3669 3.7282
Cl 5.4537 0.4961 -0.4503
Cl 4.6939 3.5226 2.2191
O 3.0447 1.6517 -1.9594
Cl 2.1891 0.5985 0.7943


8
Lattice="-3.4078 -3.8675 0.0000 -3.4078 3.8675 0.0000 0.9814 0.0000 -5.0604" Properties=species:S:1:pos:R:3 comment="RbCrF6 PBE with a Hubbard U relaxed" formation_enthalpy_0k_ev_per_atom=-2.6314 space_group=R-3 corrected_energy_ry_per_atom=-0.3966 crystal_system=trigonal volume_a3_per_cell=133 pbc="T T T"
F -3.3631 1.3786 -3.6032
F -4.6549 -0.2404 -2.1139
F -1.1794 0.2404 -2.9465
F -2.7440 1.1382 -1.1427
F -2.4712 -1.3786 -1.4572
Rb 0.0000 0.0000 0.0000
Cr -2.9172 0.0000 -2.5302
F -3.0903 -1.1382 -3.9178